No. 1
The following is a PBE-GGA calculation of a relaxed SrP2Rh2 crystal, from the Materials Project database.

Structure (CIF):
```
data_SrP2Rh2
_chemical_formula_sum 'Sr1 P2 Rh2'
_space_group_name_H-M_alt 'P 1'
_space_group_IT_number 1
_cell_length_a 6.5676
_cell_length_b 6.5676
_cell_length_c 6.5676
_cell_angle_alpha 144.78
_cell_angle_beta 144.78
_cell_angle_gamma 50.66
loop_
_space_group_symop_operation_xyz
'x,y,z'
loop_
_atom_site_label
_atom_site_fract_x
_atom_site_fract_y
_atom_site_fract_z
Sr1 0.0000 0.0000 0.0000
P1 0.3589 0.3589 0.0000
P2 0.6411 0.6411 0.0000
Rh1 0.2500 0.7500 0.5000
Rh2 0.7500 0.2500 0.5000
```

---

No. 2
The following is a PBE-GGA calculation of a relaxed Sr2P7Rh12 crystal, from the Materials Project database.

* total magnetic moment: 0.04 μB/f.u.

Structure (CIF):
```
data_Sr2P7Rh12
_chemical_formula_sum 'Sr2 P7 Rh12'
_space_group_name_H-M_alt 'P 1'
_space_group_IT_number 1
_cell_length_a 9.7241
_cell_length_b 9.7241
_cell_length_c 3.8964
_cell_angle_alpha 90.00
_cell_angle_beta 90.00
_cell_angle_gamma 120.00
loop_
_space_group_symop_operation_xyz
'x,y,z'
loop_
_atom_site_label
_atom_site_fract_x
_atom_site_fract_y
_atom_site_fract_z
Sr1 0.0000 0.0000 0.0000
Sr2 0.3333 0.6667 0.5055
P1 0.0669 0.6219 0.0073
P2 0.2666 0.0443 0.4986
P3 0.3781 0.4450 0.0073
P4 0.5550 0.9331 0.0073
P5 0.6667 0.3333 0.7778
P6 0.7777 0.7334 0.4986
P7 0.9557 0.2223 0.4986
Rh1 0.0486 0.7750 0.5012
Rh2 0.1087 0.3946 0.0049
Rh3 0.2250 0.2736 0.5012
Rh4 0.2859 0.8913 0.0049
Rh5 0.4065 0.2217 0.0017
Rh6 0.5204 0.0769 0.5062
Rh7 0.5565 0.4796 0.5062
Rh8 0.6054 0.7141 0.0049
Rh9 0.7264 0.9514 0.5012
Rh10 0.7783 0.1848 0.0017
Rh11 0.8152 0.5935 0.0017
Rh12 0.9231 0.4435 0.5062
```

---

No. 3
The following is a PBE-GGA calculation of a relaxed U6P13Rh20 crystal, from the Materials Project database.

* total magnetic moment: 3.55 μB/f.u.
* offset from the most stable computed form: 0.00 eV per formula unit

Structure (CIF):
```
data_U6P13Rh20
_chemical_formula_sum 'U6 P13 Rh20'
_space_group_name_H-M_alt 'P 1'
_space_group_IT_number 1
_cell_length_a 13.4033
_cell_length_b 13.4033
_cell_length_c 3.8760
_cell_angle_alpha 90.00
_cell_angle_beta 90.00
_cell_angle_gamma 120.00
loop_
_space_group_symop_operation_xyz
'x,y,z'
loop_
_atom_site_label
_atom_site_fract_x
_atom_site_fract_y
_atom_site_fract_z
U1 0.1909 0.4727 0.2493
U2 0.2818 0.8091 0.2493
U3 0.4727 0.2818 0.7507
U4 0.5273 0.7182 0.2493
U5 0.7182 0.1909 0.7507
U6 0.8091 0.5273 0.7507
P1 0.0000 0.0000 0.0000
P2 0.0561 0.2845 0.7467
P3 0.1398 0.6135 0.7502
P4 0.2285 0.9439 0.7467
P5 0.2845 0.2285 0.2533
P6 0.3865 0.5263 0.7502
P7 0.4737 0.8602 0.7502
P8 0.5263 0.1398 0.2498
P9 0.6135 0.4737 0.2498
P10 0.7155 0.7715 0.7467
P11 0.7715 0.0561 0.2533
P12 0.8602 0.3865 0.2498
P13 0.9439 0.7155 0.2533
Rh1 0.0216 0.5822 0.2495
Rh2 0.0773 0.7477 0.7484
Rh3 0.0921 0.9057 0.2504
Rh4 0.0943 0.1865 0.2504
Rh5 0.1865 0.0921 0.7496
Rh6 0.2523 0.3296 0.7484
Rh7 0.3296 0.0773 0.2516
Rh8 0.3333 0.6667 0.7494
Rh9 0.4178 0.4394 0.2495
Rh10 0.4394 0.0216 0.7505
Rh11 0.5606 0.9784 0.2495
Rh12 0.5822 0.5606 0.7505
Rh13 0.6667 0.3333 0.2506
Rh14 0.6704 0.9227 0.7484
Rh15 0.7477 0.6704 0.2516
Rh16 0.8135 0.9079 0.2504
Rh17 0.9057 0.8135 0.7496
Rh18 0.9079 0.0943 0.7496
Rh19 0.9227 0.2523 0.2516
Rh20 0.9784 0.4178 0.7505
```

---

| no. | E_form (eV/atom) |
| --- | --- |
| 1 | -0.936 |
| 2 | -0.810 |
| 3 | -0.836 |